# 1
NdYO2: relaxed, PBE.

Unit cell a=3.4585 b=3.4585 c=17.7871 alpha=90.00 beta=90.00 gamma=120.00
Space group R-3m (No. 166, hexagonal axes)
One atom of each set of equivalent atoms:
1 Nd 0.0000 0.0000 0.0000 x3
2 Y 0.0000 0.0000 0.5000 x3
3 O 0.0000 0.0000 0.2343 x6

Output
total magnetization = 0.00 μB/f.u.
corrected total energy (MP2020 scheme) = -8.436 eV/atom
ΔE_f = -3154 meV per atom

=====

# 2
Nd12Zr12O37: relaxed, PBE.

Unit cell a=7.562 b=7.596 c=18.657 alpha=89.63 beta=89.92 gamma=60.29
Space group P1 (No. 1)
One atom of each set of equivalent atoms:
1 Nd 0.000 0.000 0.000 x1
2 Nd 0.000 0.495 0.002 x1
3 Nd 0.169 0.152 0.832 x1
4 Nd 0.170 0.651 0.329 x1
5 Nd 0.335 0.833 0.662 x1
6 Nd 0.338 0.318 0.662 x1
7 Nd 0.484 0.509 0.499 x1
8 Nd 0.500 0.000 0.999 x1
9 Nd 0.659 0.161 0.342 x1
10 Nd 0.663 0.670 0.335 x1
11 Nd 0.822 0.334 0.672 x1
12 Nd 0.841 0.811 0.167 x1
13 Zr 0.001 0.489 0.497 x1
14 Zr 0.002 0.994 0.505 x1
15 Zr 0.160 0.670 0.836 x1
16 Zr 0.163 0.166 0.334 x1
17 Zr 0.334 0.330 0.164 x1
18 Zr 0.341 0.811 0.169 x1
19 Zr 0.480 0.002 0.498 x1
20 Zr 0.504 0.491 0.003 x1
21 Zr 0.669 0.672 0.828 x1
22 Zr 0.685 0.130 0.832 x1
23 Zr 0.820 0.832 0.673 x1
24 Zr 0.832 0.328 0.166 x1
25 O 0.012 0.025 0.145 x1
26 O 0.018 0.453 0.137 x1
27 O 0.019 0.459 0.380 x1
28 O 0.110 0.704 0.463 x1
29 O 0.164 0.162 0.707 x1
30 O 0.169 0.168 0.957 x1
31 O 0.205 0.639 0.198 x1
32 O 0.215 0.633 0.945 x1
33 O 0.291 0.886 0.282 x1
34 O 0.313 0.311 0.525 x1
35 O 0.316 0.864 0.534 x1
36 O 0.332 0.291 0.277 x1
37 O 0.341 0.369 0.806 x1
38 O 0.348 0.351 0.052 x1
39 O 0.354 0.785 0.056 x1
40 O 0.356 0.782 0.806 x1
41 O 0.457 0.023 0.147 x1
42 O 0.459 0.013 0.386 x1
43 O 0.494 0.496 0.623 x1
44 O 0.499 0.499 0.375 x1
45 O 0.553 0.978 0.611 x1
46 O 0.626 0.219 0.942 x1
47 O 0.635 0.641 0.940 x1
48 O 0.647 0.638 0.204 x1
49 O 0.666 0.679 0.711 x1
50 O 0.674 0.138 0.719 x1
51 O 0.695 0.681 0.475 x1
52 O 0.703 0.111 0.470 x1
53 O 0.796 0.350 0.051 x1
54 O 0.797 0.363 0.808 x1
55 O 0.831 0.843 0.292 x1
56 O 0.833 0.831 0.042 x1
57 O 0.863 0.790 0.791 x1
58 O 0.884 0.270 0.279 x1
59 O 0.967 0.976 0.614 x1
60 O 0.979 0.563 0.610 x1
61 O 0.983 0.987 0.871 x1

Output
total magnetization = 2.00 μB/f.u.
corrected total energy (MP2020 scheme) = -9.231 eV/atom
ΔE_f = -3611 meV per atom

=====

# 3
Nd2Zr2O7: relaxed, PBE.

Unit cell a=10.797 b=10.797 c=10.797 alpha=90.00 beta=90.00 gamma=90.00
Space group Fd-3m (No. 227, origin choice 2)
One atom of each set of equivalent atoms:
1 Nd 0.000 0.000 0.000 x16
2 Zr 0.000 0.000 0.500 x16
3 O 0.085 0.375 0.875 x48
4 O 0.125 0.125 0.125 x8

Output
corrected total energy (MP2020 scheme) = -9.412 eV/atom
ΔE_f = -3842 meV per atom

=====

# 4
NdZr9O20: relaxed, PBE.

Unit cell a=6.359 b=7.349 c=8.224 alpha=102.92 beta=97.53 gamma=106.63
Space group P-1 (No. 2)
One atom of each set of equivalent atoms:
1 Nd 0.000 0.000 0.000 x1
2 Zr 0.000 0.500 0.000 x1
3 Zr 0.201 0.401 0.402 x2
4 Zr 0.201 0.900 0.401 x2
5 Zr 0.400 0.301 0.799 x2
6 Zr 0.400 0.799 0.800 x2
7 O 0.050 0.238 0.841 x2
8 O 0.053 0.708 0.840 x2
9 O 0.146 0.173 0.548 x2
10 O 0.150 0.675 0.546 x2
11 O 0.258 0.626 0.250 x2
12 O 0.267 0.134 0.265 x2
13 O 0.354 0.574 0.952 x2
14 O 0.370 0.081 0.945 x2
15 O 0.446 0.025 0.647 x2
16 O 0.446 0.522 0.649 x2

Output
distance to the lowest polymorph of the same formula = 0.0196 eV/atom
corrected total energy (MP2020 scheme) = -9.692 eV/atom
ΔE_f = -3670 meV per atom

=====

# 5
Nd16Zr16O49: relaxed, PBE.

Unit cell a=7.522 b=7.589 c=25.250 alpha=81.50 beta=81.59 gamma=60.45
Space group P1 (No. 1)
One atom of each set of equivalent atoms:
1 Nd 0.000 0.000 0.000 x1
2 Nd 0.002 0.004 0.497 x1
3 Nd 0.132 0.628 0.619 x1
4 Nd 0.240 0.257 0.747 x1
5 Nd 0.244 0.269 0.243 x1
6 Nd 0.247 0.755 0.743 x1
7 Nd 0.377 0.889 0.869 x1
8 Nd 0.494 0.513 0.491 x1
9 Nd 0.496 0.508 0.997 x1
10 Nd 0.501 0.005 0.993 x1
11 Nd 0.612 0.148 0.120 x1
12 Nd 0.749 0.747 0.749 x1
13 Nd 0.751 0.248 0.246 x1
14 Nd 0.755 0.756 0.248 x1
15 Nd 0.865 0.393 0.369 x1
16 Nd 0.996 0.499 0.495 x1
17 Zr 0.116 0.146 0.121 x1
18 Zr 0.121 0.626 0.119 x1
19 Zr 0.149 0.125 0.618 x1
20 Zr 0.247 0.758 0.248 x1
21 Zr 0.371 0.389 0.370 x1
22 Zr 0.371 0.878 0.370 x1
23 Zr 0.386 0.375 0.869 x1
24 Zr 0.492 0.002 0.500 x1
25 Zr 0.613 0.134 0.621 x1
26 Zr 0.613 0.647 0.617 x1
27 Zr 0.628 0.628 0.119 x1
28 Zr 0.750 0.258 0.747 x1
29 Zr 0.868 0.895 0.869 x1
30 Zr 0.871 0.380 0.869 x1
31 Zr 0.887 0.880 0.370 x1
32 Zr 0.996 0.509 0.998 x1
33 O 0.006 0.940 0.102 x1
34 O 0.043 0.135 0.701 x1
35 O 0.051 0.561 0.393 x1
36 O 0.087 0.597 0.713 x1
37 O 0.103 0.635 0.202 x1
38 O 0.131 0.203 0.036 x1
39 O 0.135 0.046 0.207 x1
40 O 0.136 0.637 0.033 x1
41 O 0.153 0.659 0.526 x1
42 O 0.175 0.151 0.532 x1
43 O 0.184 0.255 0.850 x1
44 O 0.185 0.691 0.855 x1
45 O 0.245 0.309 0.144 x1
46 O 0.264 0.184 0.348 x1
47 O 0.292 0.804 0.645 x1
48 O 0.298 0.386 0.952 x1
49 O 0.336 0.849 0.962 x1
50 O 0.351 0.889 0.454 x1
51 O 0.380 0.450 0.284 x1
52 O 0.383 0.289 0.454 x1
53 O 0.401 0.911 0.775 x1
54 O 0.442 0.387 0.784 x1
55 O 0.444 0.514 0.097 x1
56 O 0.447 0.938 0.102 x1
57 O 0.490 0.980 0.590 x1
58 O 0.493 0.558 0.395 x1
59 O 0.513 0.438 0.598 x1
60 O 0.538 0.652 0.203 x1
61 O 0.550 0.057 0.894 x1
62 O 0.590 0.092 0.214 x1
63 O 0.617 0.124 0.701 x1
64 O 0.627 0.553 0.701 x1
65 O 0.638 0.684 0.529 x1
66 O 0.651 0.162 0.027 x1
67 O 0.678 0.774 0.343 x1
68 O 0.690 0.640 0.032 x1
69 O 0.697 0.191 0.351 x1
70 O 0.748 0.692 0.850 x1
71 O 0.781 0.902 0.452 x1
72 O 0.801 0.307 0.147 x1
73 O 0.841 0.339 0.462 x1
74 O 0.868 0.372 0.951 x1
75 O 0.877 0.952 0.784 x1
76 O 0.879 0.809 0.953 x1
77 O 0.882 0.392 0.783 x1
78 O 0.904 0.411 0.276 x1
79 O 0.920 0.020 0.596 x1
80 O 0.932 0.446 0.603 x1
81 O 0.941 0.889 0.284 x1

Output
corrected total energy (MP2020 scheme) = -9.228 eV/atom
ΔE_f = -3605 meV per atom

=====

# 6
Nd2Zr2O7: relaxed, PBE.

Unit cell a=7.676 b=3.674 c=10.999 alpha=90.00 beta=90.00 gamma=90.00
Space group Pmma (No. 51)
One atom of each set of equivalent atoms:
1 Nd 0.000 0.000 0.000 x2
2 Nd 0.250 0.500 0.278 x2
3 Zr 0.000 0.000 0.500 x2
4 Zr 0.250 0.500 0.739 x2
5 O 0.025 0.500 0.614 x4
6 O 0.039 0.500 0.133 x4
7 O 0.250 0.000 0.399 x2
8 O 0.250 0.000 0.633 x2
9 O 0.250 0.000 0.870 x2

Output
total magnetization = 0.00 μB/f.u.
corrected total energy (MP2020 scheme) = -9.179 eV/atom
ΔE_f = -3609 meV per atom

=====

# 7
Nd2Zr2O7: relaxed, PBE.

Unit cell a=10.686 b=10.686 c=10.686 alpha=90.00 beta=90.00 gamma=90.00
Space group Fd-3m (No. 227, origin choice 2)
One atom of each set of equivalent atoms:
1 Nd 0.000 0.000 0.000 x16
2 Zr 0.000 0.000 0.500 x16
3 O 0.119 0.375 0.875 x48
4 O 0.125 0.125 0.625 x8

Output
total magnetization = 0.00 μB/f.u.
corrected total energy (MP2020 scheme) = -9.046 eV/atom
ΔE_f = -3476 meV per atom

=====

# 8
NdZr9O20: relaxed, PBE.

Unit cell a=6.517 b=7.461 c=8.225 alpha=77.31 beta=75.36 gamma=71.83
Space group P1 (No. 1)
One atom of each set of equivalent atoms:
1 Nd 0.000 0.000 0.000 x1
2 Zr 0.197 0.799 0.599 x1
3 Zr 0.206 0.301 0.599 x1
4 Zr 0.399 0.103 0.197 x1
5 Zr 0.406 0.601 0.199 x1
6 Zr 0.599 0.906 0.796 x1
7 Zr 0.605 0.409 0.794 x1
8 Zr 0.793 0.202 0.403 x1
9 Zr 0.804 0.697 0.399 x1
10 Zr 0.998 0.502 0.006 x1
11 O 0.022 0.199 0.173 x1
12 O 0.084 0.694 0.155 x1
13 O 0.112 0.580 0.474 x1
14 O 0.187 0.123 0.439 x1
15 O 0.248 0.975 0.742 x1
16 O 0.292 0.525 0.740 x1
17 O 0.322 0.380 0.057 x1
18 O 0.391 0.914 0.043 x1
19 O 0.411 0.778 0.365 x1
20 O 0.480 0.324 0.336 x1
21 O 0.523 0.182 0.650 x1
22 O 0.604 0.713 0.640 x1
23 O 0.618 0.576 0.962 x1
24 O 0.655 0.132 0.930 x1
25 O 0.711 0.979 0.267 x1
26 O 0.766 0.533 0.237 x1
27 O 0.822 0.378 0.555 x1
28 O 0.885 0.928 0.540 x1
29 O 0.917 0.774 0.857 x1
30 O 0.987 0.330 0.834 x1

Output
total magnetization = 1.00 μB/f.u.
distance to the lowest polymorph of the same formula = 0.0000 eV/atom
corrected total energy (MP2020 scheme) = -9.711 eV/atom
ΔE_f = -3689 meV per atom

=====

# 9
NdZrO14: relaxed, PBE.

Unit cell a=10.891 b=10.891 c=10.891 alpha=90.00 beta=90.00 gamma=90.00
Space group Fd-3m (No. 227, origin choice 2)
One atom of each set of equivalent atoms:
1 Nd 0.125 0.125 0.125 x8
2 Zr 0.125 0.125 0.625 x8
3 O 0.000 0.000 0.000 x16
4 O 0.030 0.030 0.369 x96

Output
total magnetization = 0.01 μB/f.u.
corrected total energy (MP2020 scheme) = -5.824 eV/atom
ΔE_f = -662 meV per atom

=====

# 10
Nd3Os: relaxed, PBE.

Unit cell a=7.509 b=9.609 c=6.539 alpha=90.00 beta=90.00 gamma=90.00
Space group Pnma (No. 62)
One atom of each set of equivalent atoms:
1 Nd 0.041 0.250 0.139 x4
2 Nd 0.174 0.066 0.671 x8
3 Os 0.115 0.750 0.451 x4

Output
ΔE_f = -105 meV per atom

=====

# 11
NdP5: relaxed, PBE.

Unit cell a=5.055 b=9.599 c=5.470 alpha=90.00 beta=102.04 gamma=90.00
Space group P2_1/m (No. 11)
One atom of each set of equivalent atoms:
1 Nd 0.008 0.250 0.348 x2
2 P 0.289 0.250 0.899 x2
3 P 0.293 0.530 0.403 x4
4 P 0.385 0.591 0.048 x4

Output
ΔE_f = -535 meV per atom

=====

Copy entry 6 word for word.
Nd2Zr2O7: relaxed, PBE.

Unit cell a=7.676 b=3.674 c=10.999 alpha=90.00 beta=90.00 gamma=90.00
Space group Pmma (No. 51)
One atom of each set of equivalent atoms:
1 Nd 0.000 0.000 0.000 x2
2 Nd 0.250 0.500 0.278 x2
3 Zr 0.000 0.000 0.500 x2
4 Zr 0.250 0.500 0.739 x2
5 O 0.025 0.500 0.614 x4
6 O 0.039 0.500 0.133 x4
7 O 0.250 0.000 0.399 x2
8 O 0.250 0.000 0.633 x2
9 O 0.250 0.000 0.870 x2

Output
total magnetization = 0.00 μB/f.u.
corrected total energy (MP2020 scheme) = -9.179 eV/atom
ΔE_f = -3609 meV per atom